1.
The following is a PBE calculation of a relaxed structure of NaSiBO4, from Materials Project.

- E (MP2020): -7.660 eV/atom
- Space group: No. 14

Cell: 7.7915 8.0828 16.2653 Å, 60.28 90.00 90.00°
Sites, in units of the cell vectors:
O (0.5051, 0.3756, 0.6117)
O (0.1713, 0.6062, 0.3432)
O (0.2331, 0.8630, 0.6920)
O (0.7287, 0.7431, 0.8206)
O (0.4949, 0.6244, 0.3883)
Si (0.7971, 0.9751, 0.4191)
O (0.6672, 0.8100, 0.1463)
B (0.3299, 0.6816, 0.7396)
O (0.7563, 0.4549, 0.7866)
O (0.4959, 0.0990, 0.0669)
O (0.9959, 0.9010, 0.4331)
O (0.6713, 0.3938, 0.1568)
B (0.1701, 0.6816, 0.2396)
Si (0.7037, 0.3389, 0.5926)
B (0.6701, 0.3184, 0.2604)
Na (0.0338, 0.7056, 0.0676)
B (0.6731, 0.6583, 0.4096)
Na (0.4662, 0.7056, 0.5676)
O (0.1672, 0.1900, 0.3537)
O (0.3280, 0.2096, 0.5517)
O (0.7471, 0.0647, 0.9879)
O (0.2515, 0.5285, 0.0204)
O (0.3328, 0.1900, 0.8537)
Si (0.7963, 0.3389, 0.0926)
O (0.2529, 0.9353, 0.0121)
Si (0.2037, 0.6611, 0.9074)
O (0.7763, 0.1130, 0.1227)
O (0.2563, 0.5451, 0.7134)
O (0.7669, 0.1370, 0.3080)
B (0.3269, 0.3417, 0.5904)
O (0.2713, 0.2569, 0.1794)
O (0.7237, 0.1130, 0.6227)
O (0.0051, 0.6244, 0.8883)
B (0.6724, 0.0185, 0.0817)
Si (0.7894, 0.6813, 0.2387)
B (0.3276, 0.9815, 0.9183)
Na (0.9662, 0.2944, 0.9324)
O (0.2471, 0.9353, 0.5121)
Si (0.2894, 0.3187, 0.2613)
O (0.7437, 0.4549, 0.2866)
O (0.5103, 0.7239, 0.7033)
Si (0.2029, 0.0249, 0.5809)
Si (0.7029, 0.9751, 0.9191)
O (0.9897, 0.7239, 0.2033)
O (0.4897, 0.2761, 0.2967)
Na (0.5338, 0.2944, 0.4324)
Na (0.0109, 0.9969, 0.2496)
O (0.9949, 0.3756, 0.1117)
O (0.0041, 0.0990, 0.5669)
O (0.7331, 0.1370, 0.8080)
O (0.6720, 0.7904, 0.4483)
O (0.3287, 0.6062, 0.8432)
O (0.2669, 0.8630, 0.1920)
O (0.2763, 0.8870, 0.3773)
O (0.8328, 0.8100, 0.6463)
O (0.7515, 0.4715, 0.4796)
O (0.7485, 0.4715, 0.9796)
Na (0.4707, 0.6408, 0.0880)
Si (0.7106, 0.6813, 0.7387)
O (0.1720, 0.2096, 0.0517)
Si (0.2971, 0.0249, 0.0809)
Na (0.0293, 0.6408, 0.5880)
Si (0.2963, 0.6611, 0.4074)
O (0.2237, 0.8870, 0.8773)
B (0.1724, 0.9815, 0.4183)
O (0.2287, 0.2569, 0.6794)
Na (0.5293, 0.3592, 0.9120)
Na (0.4891, 0.9969, 0.7496)
B (0.8269, 0.6583, 0.9096)
O (0.2485, 0.5285, 0.5204)
B (0.8276, 0.0185, 0.5817)
Na (0.9707, 0.3592, 0.4120)
O (0.8280, 0.7904, 0.9483)
O (0.8287, 0.3938, 0.6568)
Na (0.5109, 0.0031, 0.2504)
O (0.7713, 0.7431, 0.3206)
O (0.5041, 0.9010, 0.9331)
Si (0.2106, 0.3187, 0.7613)
B (0.8299, 0.3184, 0.7604)
O (0.2437, 0.5451, 0.2134)
Na (0.9891, 0.0031, 0.7504)
O (0.0103, 0.2761, 0.7967)
B (0.1731, 0.3417, 0.0904)
O (0.7529, 0.0647, 0.4879)

---

2.
The following is a PBE calculation of a relaxed structure of FeH12C2N2Cl4, from Materials Project.

- Energy above the most stable polymorph in this dataset: 0.0 meV/atom
- E (MP2020): -4.943 eV/atom
- Space group: No. 56

Cell: 7.2932 7.3006 19.4567 Å, 90.00 90.00 90.00°
Sites, in units of the cell vectors:
H (0.0061, 0.6680, 0.8029)
C (0.4795, 0.4765, 0.6868)
H (0.4245, 0.4316, 0.5824)
Cl (0.5291, 0.5338, 0.1219)
Cl (0.5291, 0.9662, 0.6219)
H (0.9245, 0.5684, 0.9176)
H (0.0723, 0.0626, 0.2831)
H (0.4245, 0.0684, 0.0824)
H (0.5723, 0.5626, 0.7169)
H (0.1633, 0.9902, 0.6990)
H (0.3549, 0.9833, 0.9009)
H (0.4877, 0.6488, 0.6010)
H (0.1451, 0.9833, 0.4009)
H (0.1451, 0.5167, 0.9009)
H (0.6633, 0.0098, 0.8010)
C (0.4795, 0.0235, 0.1868)
Cl (0.7500, 0.7500, 0.9793)
H (0.4277, 0.0626, 0.7831)
H (0.9277, 0.5626, 0.2169)
H (0.3549, 0.5167, 0.4009)
H (0.8367, 0.4902, 0.8010)
N (0.9892, 0.9881, 0.6127)
H (0.5723, 0.9374, 0.2169)
Fe (0.5000, 0.0000, 0.5000)
Fe (0.0000, 0.5000, 0.5000)
C (0.5205, 0.9765, 0.8132)
H (0.9939, 0.3320, 0.1971)
N (0.9892, 0.5119, 0.1127)
H (0.5123, 0.1488, 0.8990)
H (0.9877, 0.1488, 0.3990)
H (0.0123, 0.8512, 0.6010)
H (0.9877, 0.3512, 0.8990)
H (0.9277, 0.9374, 0.7169)
N (0.0108, 0.4881, 0.8873)
H (0.1633, 0.5098, 0.1990)
Cl (0.2500, 0.2500, 0.5207)
H (0.0755, 0.0684, 0.5824)
H (0.8549, 0.4833, 0.0991)
H (0.5123, 0.3512, 0.3990)
H (0.5755, 0.9316, 0.9176)
Cl (0.7500, 0.2500, 0.0016)
Cl (0.2500, 0.7500, 0.4984)
H (0.8549, 0.0167, 0.5991)
H (0.6633, 0.4902, 0.3010)
C (0.0205, 0.4765, 0.1868)
H (0.4877, 0.8512, 0.1010)
Cl (0.0291, 0.4662, 0.3781)
H (0.5061, 0.1680, 0.1971)
Fe (0.0000, 0.0000, 0.0000)
H (0.5061, 0.3320, 0.6971)
Cl (0.2500, 0.2500, 0.0207)
C (0.0205, 0.0235, 0.6868)
N (0.4892, 0.0119, 0.8873)
Fe (0.5000, 0.5000, 0.0000)
H (0.5755, 0.5684, 0.4176)
Cl (0.9709, 0.5338, 0.6219)
C (0.9795, 0.9765, 0.3132)
Cl (0.4709, 0.4662, 0.8781)
Cl (0.9709, 0.9662, 0.1219)
H (0.0123, 0.6488, 0.1010)
Cl (0.7500, 0.2500, 0.5016)
H (0.6451, 0.4833, 0.5991)
H (0.9245, 0.9316, 0.4176)
H (0.0723, 0.4374, 0.7831)
H (0.8367, 0.0098, 0.3010)
C (0.9795, 0.5235, 0.8132)
H (0.3367, 0.5098, 0.6990)
H (0.6451, 0.0167, 0.0991)
N (0.5108, 0.5119, 0.6127)
H (0.3367, 0.9902, 0.1990)
C (0.5205, 0.5235, 0.3132)
H (0.4939, 0.8320, 0.8029)
H (0.4277, 0.4374, 0.2831)
Cl (0.2500, 0.7500, 0.9984)
H (0.0755, 0.4316, 0.0824)
N (0.0108, 0.0119, 0.3873)
N (0.5108, 0.9881, 0.1127)
Cl (0.0291, 0.0338, 0.8781)
H (0.4939, 0.6680, 0.3029)
H (0.0061, 0.8320, 0.3029)
Cl (0.7500, 0.7500, 0.4793)
H (0.9939, 0.1680, 0.6971)
N (0.4892, 0.4881, 0.3873)
Cl (0.4709, 0.0338, 0.3781)

---

3.
The following is a PBE calculation of a relaxed structure of LiU, from Materials Project.

- Space group: No. 187

Cell: 2.8456 2.8456 5.6266 Å, 90.00 90.00 120.00°
Sites, in units of the cell vectors:
Li (0.6667, 0.3333, 0.7500)
U (0.3333, 0.6667, 0.2500)

---

DFT formation energy (kJ per mole of atoms)
-281.22 -55.55 32.84